[1]
A plane-wave DFT calculation with r2SCAN was carried out for a relaxed structure of Ta3SiTe6.

* energy relative to the elements: -0.44 eV per atom
* crystal system: orthorhombic

CIF file:
```
data_Ta3SiTe6
_cell_length_a 6.405
_cell_length_b 14.651
_cell_length_c 11.581
_cell_angle_alpha 90.00
_cell_angle_beta 90.00
_cell_angle_gamma 90.00
_symmetry_space_group_name_H-M 'P n m a'
_symmetry_Int_Tables_number 62
loop_
_symmetry_equiv_pos_as_xyz
'x,y,z'
'-x,-y,-z'
'-x+1/2,-y,z+1/2'
'x+1/2,y,-z+1/2'
'x+1/2,-y+1/2,-z+1/2'
'-x+1/2,y+1/2,z+1/2'
'-x,y+1/2,-z'
'x,-y+1/2,z'
loop_
_atom_site_label
_atom_site_type_symbol
_atom_site_fract_x
_atom_site_fract_y
_atom_site_fract_z
Ta1 Ta 0.029 0.250 0.188
Ta2 Ta 0.166 0.750 0.337
Ta3 Ta 0.198 0.750 0.031
Si1 Si 0.076 0.750 0.576
Te1 Te 0.145 0.126 0.998
Te2 Te 0.152 0.121 0.681
Te3 Te 0.201 0.122 0.343
```

=====

[2]
A plane-wave DFT calculation with r2SCAN was carried out for a relaxed structure of CsI.

* energy relative to the elements: -1.76 eV per atom
* crystal system: orthorhombic

CIF file:
```
data_CsI
_cell_length_a 11.016
_cell_length_b 5.497
_cell_length_c 7.825
_cell_angle_alpha 90.00
_cell_angle_beta 90.00
_cell_angle_gamma 90.00
_symmetry_space_group_name_H-M 'P n m a'
_symmetry_Int_Tables_number 62
loop_
_symmetry_equiv_pos_as_xyz
'x,y,z'
'-x,-y,-z'
'-x+1/2,-y,z+1/2'
'x+1/2,y,-z+1/2'
'x+1/2,-y+1/2,-z+1/2'
'-x+1/2,y+1/2,z+1/2'
'-x,y+1/2,-z'
'x,-y+1/2,z'
loop_
_atom_site_label
_atom_site_type_symbol
_atom_site_fract_x
_atom_site_fract_y
_atom_site_fract_z
Cs1 Cs 0.119 0.250 0.249
I1 I 0.131 0.250 0.749
```

=====

[3]
A plane-wave DFT calculation with r2SCAN was carried out for a relaxed structure of K2TiZnO4.

* energy relative to the elements: -2.39 eV per atom
* crystal system: orthorhombic

CIF file:
```
data_K2TiZnO4
_cell_length_a 11.283
_cell_length_b 5.620
_cell_length_c 16.009
_cell_angle_alpha 90.00
_cell_angle_beta 90.00
_cell_angle_gamma 90.00
_symmetry_space_group_name_H-M 'P c a 21'
_symmetry_Int_Tables_number 29
loop_
_symmetry_equiv_pos_as_xyz
'x,y,z'
'-x,-y,z+1/2'
'-x+1/2,y,z+1/2'
'x+1/2,-y,z'
loop_
_atom_site_label
_atom_site_type_symbol
_atom_site_fract_x
_atom_site_fract_y
_atom_site_fract_z
K1 K 0.013 0.012 0.000
K2 K 0.016 0.507 0.619
K3 K 0.231 0.044 0.375
K4 K 0.234 0.544 0.241
Ti1 Ti 0.010 0.518 0.869
Ti2 Ti 0.234 0.027 0.124
Zn1 Zn 0.011 0.016 0.749
Zn2 Zn 0.236 0.529 0.493
O1 O 0.017 0.798 0.350
O2 O 0.025 0.318 0.274
O3 O 0.086 0.388 0.454
O4 O 0.097 0.887 0.159
O5 O 0.165 0.583 0.896
O6 O 0.173 0.087 0.715
O7 O 0.193 0.821 0.552
O8 O 0.194 0.304 0.072
```

=====

Which formula does entry 3 have?
K2TiZnO4